Record 1
Cr2CuS4 | PBE-GGA | relaxed

a = 11.3096 Å, b = 3.4083 Å, c = 11.8013 Å
α = 90.00°, β = 90.00°, γ = 90.00°
Fractional positions:
Cr 0.1441 0.2500 0.7059
Cr 0.6441 0.2500 0.7941
Cr 0.3559 0.7500 0.2059
Cr 0.3903 0.7500 0.5799
Cr 0.8903 0.7500 0.9201
Cr 0.8559 0.7500 0.2941
Cr 0.1097 0.2500 0.0799
Cr 0.6097 0.2500 0.4201
Cu 0.8752 0.2500 0.5767
Cu 0.1248 0.7500 0.4233
Cu 0.6248 0.7500 0.0767
Cu 0.3752 0.2500 0.9233
S 0.2524 0.2500 0.5299
S 0.7858 0.7500 0.7465
S 0.2858 0.7500 0.7535
S 0.4671 0.2500 0.1138
S 0.7142 0.2500 0.2465
S 0.5317 0.2500 0.6182
S 0.2142 0.2500 0.2535
S 0.7524 0.2500 0.9701
S 0.9682 0.7500 0.1182
S 0.5329 0.7500 0.8862
S 0.2476 0.7500 0.0299
S 0.4682 0.7500 0.3818
S 0.7476 0.7500 0.4701
S 0.0318 0.2500 0.8818
S 0.9671 0.2500 0.3862
S 0.0329 0.7500 0.6138

Values from the calculation:
energy relative to the elements: -0.7200 eV/atom
V: 454.9 Å³/cell
ρ: 4.32 Mg/m³
energy with MP2020 corrections: -6.427 eV per atom
energy relative to the lowest polymorph listed for this composition: 0.202 eV/atom



Record 2
GdCoC | PBE-GGA | relaxed

a = 3.6285 Å, b = 3.6285 Å, c = 7.0782 Å
α = 90.00°, β = 90.00°, γ = 90.00°
Fractional positions:
Gd 0.0000 0.0000 0.2500
Gd 0.0000 0.0000 0.7500
Co 0.5000 0.5000 0.0000
Co 0.5000 0.5000 0.5000
C 0.0000 0.5000 0.0000
C 0.5000 0.0000 0.5000

Values from the calculation:
energy relative to the elements: -0.2719 eV/atom
V: 93.2 Å³/cell
ρ: 8.13 Mg/m³



Record 3
HfAl2O5 | PBE-GGA | relaxed

a = 5.1413 Å, b = 5.1413 Å, c = 10.2882 Å
α = 90.00°, β = 90.00°, γ = 138.25°
Fractional positions:
O 0.0400 0.9600 0.6131
O 0.3095 0.6905 0.9373
O 0.2249 0.7751 0.2500
O 0.7751 0.2249 0.7500
O 0.0400 0.9600 0.8869
O 0.9600 0.0400 0.1131
O 0.6905 0.3095 0.4373
O 0.9600 0.0400 0.3869
O 0.6905 0.3095 0.0627
O 0.3095 0.6905 0.5627
Al 0.1369 0.8631 0.4526
Al 0.8631 0.1369 0.5474
Al 0.1369 0.8631 0.0474
Al 0.8631 0.1369 0.9526
Hf 0.8128 0.1872 0.2500
Hf 0.1872 0.8128 0.7500

Values from the calculation:
energy relative to the elements: -3.5840 eV/atom
V: 181.1 Å³/cell
ρ: 5.73 Mg/m³
energy with MP2020 corrections: -8.858 eV per atom



Among the records above, which one has the lowest ρ? Cr2CuS4